No. 1
PBE with a Hubbard U Na4Mn2C4SO16, relaxed; energy relative to the lowest polymorph listed for this composition = 0.0056 eV per atom; ΔH_f (0 K) = -1976 meV per atom
1.0
9.857 0.000 0.000
-0.188 9.859 0.000
-4.837 -4.840 7.198
Na Mn C S O
8 4 8 2 32
direct
0.000 0.000 0.000
0.000 0.003 0.595
0.256 0.753 0.510
0.260 0.182 0.522
0.264 0.743 0.094
0.432 0.434 0.425
0.667 0.176 0.927
0.678 0.176 0.509
0.347 0.593 0.767
0.837 0.587 0.257
0.839 0.090 0.258
0.844 0.590 0.759
0.055 0.377 0.690
0.056 0.376 0.326
0.064 0.736 0.697
0.625 0.443 0.822
0.630 0.800 0.826
0.633 0.805 0.195
0.699 0.373 0.327
0.991 0.811 0.199
0.216 0.216 0.009
0.466 0.966 0.511
0.002 0.790 0.066
0.029 0.498 0.799
0.032 0.149 0.886
0.032 0.229 0.295
0.043 0.748 0.566
0.196 0.400 0.711
0.198 0.485 0.457
0.199 0.725 0.807
0.274 0.155 0.135
0.277 0.398 0.128
0.280 0.156 0.889
0.400 0.025 0.631
0.402 0.784 0.391
0.405 0.031 0.389
0.483 0.443 0.706
0.484 0.774 0.791
0.492 0.697 0.063
0.649 0.032 0.633
0.649 0.434 0.956
0.659 0.680 0.720
0.659 0.953 0.231
0.684 0.389 0.455
0.706 0.237 0.215
0.706 0.495 0.310
0.740 0.942 0.956
0.741 0.442 0.792
0.755 0.778 0.303
0.933 0.403 0.219
0.945 0.234 0.564
0.947 0.740 0.726
0.988 0.694 0.225
0.992 0.952 0.314

***

No. 2
PBE with a Hubbard U Sr2MgZnWO6, relaxed; energy relative to the lowest polymorph listed for this composition = 0.2267 eV per atom; ΔH_f (0 K) = -2307 meV per atom
1.0
2.987 1.724 5.408
-2.987 1.724 5.408
0.000 -3.449 5.408
Sr Mg Zn W O
2 1 1 1 6
direct
0.000 0.000 0.000
0.411 0.411 0.411
0.633 0.633 0.633
0.804 0.804 0.804
0.206 0.206 0.206
0.428 0.966 0.966
0.440 0.440 0.980
0.440 0.980 0.440
0.966 0.428 0.966
0.966 0.966 0.428
0.980 0.440 0.440

***

No. 3
PBE with a Hubbard U Ba2NiWO6, relaxed; ΔH_f (0 K) = -2564 meV per atom
1.0
5.026 0.000 2.901
-3.350 4.738 0.000
-1.675 -4.738 8.704
O Ba W Ni
12 4 2 2
direct
0.859 0.620 0.380
0.620 0.859 0.620
0.141 0.380 0.620
0.641 0.880 0.120
0.359 0.120 0.880
0.880 0.120 0.880
0.380 0.141 0.380
0.120 0.359 0.120
0.880 0.641 0.880
0.380 0.620 0.380
0.620 0.380 0.620
0.120 0.880 0.120
0.375 0.625 0.875
0.125 0.875 0.625
0.875 0.125 0.375
0.625 0.375 0.125
0.000 0.000 0.000
0.500 0.500 0.500
0.250 0.750 0.250
0.750 0.250 0.750

***

No. 4
PBE with a Hubbard U Cs2MgMnV2Cl2O6, relaxed; ΔH_f (0 K) = -2155 meV per atom
1.0
5.940 0.000 0.000
0.000 5.685 0.000
-2.173 0.000 9.056
Cs Mg Mn V Cl O
2 1 1 2 2 6
direct
0.009 0.000 0.228
0.991 0.000 0.772
0.500 0.014 0.500
0.500 0.533 0.000
0.289 0.517 0.599
0.711 0.517 0.401
0.000 0.521 0.000
0.500 0.097 0.000
0.000 0.636 0.500
0.283 0.210 0.561
0.376 0.613 0.782
0.500 0.676 0.500
0.624 0.613 0.218
0.717 0.210 0.439

***

No. 5
PBE with a Hubbard U VZnPO5, relaxed; energy relative to the lowest polymorph listed for this composition = 0.0000 eV per atom; ΔH_f (0 K) = -2474 meV per atom
1.0
3.685 -0.042 4.092
-3.301 6.405 0.000
-7.762 -6.271 4.099
V O Zn P
4 20 4 4
direct
0.248 0.752 0.250
0.248 0.252 0.249
0.748 0.752 0.749
0.748 0.252 0.750
0.379 0.045 0.294
0.882 0.700 0.112
0.382 0.200 0.612
0.932 0.247 0.599
0.359 0.553 0.635
0.859 0.053 0.135
0.613 0.801 0.387
0.432 0.747 0.099
0.115 0.275 0.417
0.618 0.958 0.705
0.883 0.728 0.582
0.879 0.545 0.794
0.383 0.228 0.082
0.139 0.949 0.865
0.564 0.256 0.900
0.064 0.756 0.400
0.113 0.301 0.887
0.615 0.776 0.917
0.639 0.449 0.365
0.118 0.458 0.206
0.778 0.342 0.091
0.278 0.842 0.591
0.720 0.166 0.407
0.220 0.666 0.907
0.214 0.324 0.571
0.714 0.824 0.071
0.283 0.179 0.928
0.783 0.679 0.428

***

No. 6
PBE with a Hubbard U BiMoO2, relaxed; ΔH_f (0 K) = -827 meV per atom
1.0
-3.273 3.273 6.292
3.273 -3.273 6.292
3.273 3.273 -6.292
Bi Mo O
4 4 8
direct
0.000 0.000 0.000
0.000 0.000 0.500
0.000 0.500 0.000
0.500 0.000 0.500
0.000 0.500 0.500
0.500 0.000 0.000
0.500 0.500 0.000
0.500 0.500 0.500
0.194 0.238 0.544
0.194 0.650 0.956
0.238 0.194 0.044
0.350 0.806 0.544
0.650 0.194 0.456
0.762 0.806 0.956
0.806 0.350 0.044
0.806 0.762 0.456